First-principles (GGA+U) data for a relaxed K2CoH12C4O14 crystal, as listed in the Materials Project.

Properties
As for the formation energy: -1.4508 eV per atom. The crystal system is monoclinic. The volume comes out at 11.11 A^3/atom. The spin magnetization comes out at 2.00 μB per cell. As for the space group: No. 14.

a = 6.877 Å, b = 8.737 Å, c = 12.485 Å
α = 102.21°, β = 90.00°, γ = 90.00°
Sites, in units of the cell vectors:
Co  0.500  0.500  0.500
O  0.963  0.741  0.419
H  0.989  0.679  0.264
C  0.684  0.185  0.957
C  0.816  0.685  0.457
O  0.471  0.264  0.429
O  0.645  0.439  0.640
O  0.008  0.314  0.311
H  0.511  0.179  0.764
O  0.529  0.736  0.571
H  0.011  0.321  0.736
H  0.419  0.098  0.159
H  0.084  0.424  0.849
K  0.349  0.437  0.113
O  0.992  0.686  0.689
O  0.463  0.759  0.081
H  0.489  0.821  0.236
O  0.492  0.814  0.811
O  0.355  0.561  0.360
O  0.971  0.236  0.071
O  0.537  0.241  0.919
H  0.919  0.402  0.341
O  0.502  0.834  0.316
O  0.037  0.259  0.581
O  0.738  0.042  0.932
C  0.684  0.797  0.540
H  0.899  0.834  0.151
H  0.399  0.666  0.349
H  0.916  0.576  0.151
O  0.498  0.166  0.684
H  0.584  0.076  0.651
H  0.785  0.430  0.624
H  0.416  0.924  0.349
O  0.508  0.186  0.189
O  0.266  0.063  0.429
C  0.184  0.315  0.543
H  0.081  0.598  0.659
H  0.285  0.070  0.876
O  0.002  0.666  0.184
H  0.715  0.930  0.124
C  0.316  0.815  0.043
O  0.855  0.939  0.140
H  0.487  0.211  0.269
H  0.581  0.902  0.841
O  0.238  0.458  0.568
C  0.184  0.703  0.960
K  0.651  0.563  0.887
O  0.998  0.334  0.816
K  0.849  0.063  0.387
O  0.262  0.958  0.068
Co  0.000  0.000  0.000
K  0.151  0.937  0.613
H  0.987  0.289  0.231
O  0.029  0.764  0.929
H  0.101  0.166  0.849
C  0.316  0.203  0.460
O  0.234  0.563  0.929
O  0.766  0.437  0.071
H  0.601  0.334  0.651
O  0.145  0.061  0.860
O  0.734  0.937  0.571
H  0.215  0.570  0.376
O  0.762  0.542  0.432
H  0.013  0.711  0.769
H  0.513  0.789  0.731
C  0.816  0.297  0.040


First-principles (GGA+U) data for a relaxed Li2Co2H24C6N12O15 crystal, as listed in the Materials Project.

Properties
As for the formation energy: -0.8474 eV per atom. The crystal system is triclinic. The volume comes out at 9.27 A^3/atom. The spin magnetization comes out at 2.00 μB per cell. As for the space group: No. 1.

a = 5.053 Å, b = 9.668 Å, c = 11.583 Å
α = 92.44°, β = 90.42°, γ = 90.16°
Sites, in units of the cell vectors:
C  0.858  0.807  0.434
O  0.479  0.922  0.125
H  0.394  0.504  0.940
H  0.588  0.550  0.047
N  0.599  0.526  0.648
C  0.885  0.966  0.825
H  0.029  0.071  0.598
H  0.866  0.211  0.179
H  0.700  0.331  0.705
N  0.248  0.566  0.294
H  0.424  0.532  0.693
O  0.469  0.267  0.490
H  0.815  0.203  0.450
H  0.317  0.799  0.552
N  0.669  0.908  0.875
H  0.529  0.928  0.402
H  0.102  0.289  0.108
H  0.601  0.330  0.944
H  0.120  0.062  0.040
H  0.365  0.791  0.815
O  0.970  0.915  0.728
H  0.469  0.937  0.613
Co  0.277  0.269  0.331
O  0.549  0.231  0.934
O  0.469  0.084  0.272
C  0.991  0.477  0.758
C  0.381  0.031  0.176
O  0.456  0.170  0.666
H  0.956  0.064  0.387
Co  0.780  0.729  0.671
Li  0.762  0.801  0.187
N  0.623  0.870  0.462
H  0.715  0.180  0.916
H  0.215  0.819  0.085
O  0.125  0.391  0.814
C  0.358  0.191  0.566
H  0.594  0.703  0.885
N  0.500  0.844  0.568
N  0.995  0.155  0.432
N  0.162  0.087  0.125
O  0.579  0.523  0.963
O  0.557  0.397  0.257
O  0.969  0.731  0.510
O  0.955  0.829  0.335
N  0.067  0.217  0.168
C  0.482  0.524  0.246
H  0.911  0.460  0.314
N  0.770  0.430  0.699
O  0.987  0.074  0.878
N  0.565  0.782  0.828
O  0.057  0.605  0.750
O  0.615  0.611  0.190
N  0.124  0.126  0.537
H  0.081  0.677  0.048
H  0.626  0.934  0.960
O  0.041  0.773  0.067
Li  0.263  0.201  0.816
H  0.063  0.513  0.436
H  0.187  0.667  0.295
N  0.094  0.471  0.354
H  0.554  0.487  0.566


First-principles (GGA+U) data for a relaxed CoMo8H36C8N2O32 crystal, as listed in the Materials Project.

Properties
As for the formation energy: -1.0899 eV per atom. The crystal system is monoclinic. The volume comes out at 10.97 A^3/atom. The spin magnetization comes out at 2.31 μB per cell. As for the space group: No. 15.

a = 10.695 Å, b = 10.695 Å, c = 17.023 Å
α = 84.84°, β = 84.84°, γ = 80.83°
Sites, in units of the cell vectors:
O  0.169  0.834  0.969
O  0.446  0.817  0.958
O  0.606  0.889  0.291
Mo  0.965  0.246  0.463
H  0.038  0.944  0.839
O  0.834  0.169  0.469
H  0.852  0.186  0.836
H  0.747  0.277  0.159
H  0.109  0.298  0.083
Mo  0.412  0.089  0.078
H  0.044  0.139  0.223
O  0.872  0.907  0.021
H  0.044  0.131  0.648
O  0.192  0.508  0.009
O  0.977  0.680  0.936
O  0.394  0.111  0.709
O  0.419  0.081  0.952
O  0.332  0.671  0.414
Mo  0.911  0.588  0.422
O  0.554  0.183  0.042
H  0.358  0.115  0.372
O  0.320  0.023  0.564
Mo  0.623  0.875  0.190
O  0.517  0.214  0.826
O  0.040  0.461  0.675
Mo  0.035  0.754  0.537
H  0.277  0.747  0.659
H  0.172  0.021  0.322
H  0.956  0.861  0.777
O  0.907  0.872  0.521
O  0.054  0.682  0.430
O  0.960  0.539  0.325
H  0.265  0.448  0.990
H  0.013  0.249  0.033
O  0.461  0.040  0.175
O  0.713  0.788  0.909
O  0.407  0.034  0.393
O  0.318  0.946  0.070
H  0.148  0.814  0.164
C  0.744  0.361  0.192
O  0.329  0.668  0.086
H  0.869  0.956  0.852
O  0.671  0.332  0.914
H  0.432  0.774  0.461
H  0.554  0.264  0.350
H  0.264  0.554  0.850
N  0.629  0.371  0.250
O  0.966  0.593  0.107
H  0.387  0.428  0.749
H  0.828  0.355  0.225
H  0.298  0.109  0.583
H  0.428  0.387  0.249
O  0.668  0.329  0.586
C  0.511  0.379  0.206
H  0.446  0.736  0.650
O  0.889  0.606  0.791
H  0.572  0.613  0.751
H  0.962  0.056  0.161
C  0.379  0.511  0.706
H  0.885  0.642  0.128
O  0.034  0.407  0.893
C  0.489  0.621  0.794
O  0.212  0.287  0.591
Mo  0.246  0.965  0.963
H  0.956  0.869  0.352
O  0.786  0.483  0.674
O  0.919  0.581  0.548
O  0.371  0.410  0.445
O  0.253  0.251  0.826
C  0.952  0.947  0.809
H  0.075  0.740  0.251
O  0.749  0.747  0.674
H  0.172  0.645  0.775
H  0.539  0.494  0.337
H  0.925  0.260  0.749
O  0.410  0.371  0.945
O  0.284  0.987  0.850
H  0.642  0.885  0.628
C  0.361  0.744  0.692
O  0.680  0.977  0.436
Mo  0.125  0.377  0.310
O  0.831  0.166  0.031
H  0.552  0.735  0.510
H  0.645  0.172  0.275
H  0.979  0.828  0.178
H  0.115  0.358  0.872
N  0.940  0.060  0.750
C  0.621  0.489  0.294
H  0.021  0.172  0.822
H  0.253  0.723  0.841
Mo  0.540  0.253  0.930
O  0.808  0.492  0.991
H  0.003  0.540  0.152
N  0.371  0.629  0.750
O  0.183  0.554  0.542
Mo  0.754  0.035  0.037
H  0.481  0.708  0.824
H  0.506  0.461  0.163
C  0.066  0.821  0.208
H  0.355  0.828  0.725
H  0.460  0.997  0.348
Co  0.500  0.000  0.500
H  0.540  0.003  0.652
O  0.508  0.192  0.509
Mo  0.747  0.460  0.570
C  0.053  0.048  0.691
O  0.251  0.253  0.326
O  0.593  0.966  0.607
H  0.735  0.552  0.010
H  0.997  0.460  0.848
O  0.483  0.786  0.174
H  0.448  0.265  0.490
C  0.947  0.952  0.309
O  0.946  0.318  0.570
O  0.214  0.517  0.326
Mo  0.253  0.540  0.430
O  0.128  0.093  0.979
H  0.708  0.481  0.324
H  0.723  0.253  0.341
H  0.751  0.987  0.467
Mo  0.588  0.911  0.922
O  0.682  0.054  0.930
H  0.056  0.962  0.661
H  0.613  0.572  0.251
O  0.747  0.749  0.174
O  0.492  0.808  0.491
O  0.581  0.919  0.048
Co  0.000  0.500  0.000
O  0.013  0.716  0.650
H  0.891  0.702  0.917
H  0.702  0.891  0.417
Mo  0.460  0.747  0.070
H  0.736  0.446  0.150
H  0.740  0.075  0.751
H  0.861  0.956  0.277
O  0.817  0.446  0.458
H  0.519  0.292  0.176
O  0.788  0.713  0.409
C  0.256  0.639  0.808
H  0.131  0.044  0.148
C  0.821  0.066  0.708
Mo  0.875  0.623  0.690
C  0.179  0.934  0.292
O  0.987  0.284  0.350
N  0.060  0.940  0.250
H  0.226  0.568  0.039
C  0.639  0.256  0.308
O  0.081  0.419  0.452
O  0.166  0.831  0.531
H  0.260  0.925  0.249
H  0.494  0.539  0.837
H  0.828  0.979  0.678
O  0.716  0.013  0.150
O  0.590  0.629  0.055
O  0.287  0.212  0.091
H  0.292  0.519  0.676
H  0.774  0.432  0.961
O  0.629  0.590  0.555
H  0.139  0.044  0.723
H  0.186  0.852  0.336
O  0.111  0.394  0.209
H  0.461  0.506  0.663
C  0.048  0.053  0.191
H  0.987  0.751  0.967
Mo  0.377  0.125  0.810
H  0.944  0.038  0.339
H  0.249  0.013  0.533
H  0.568  0.226  0.539
C  0.934  0.179  0.792
Mo  0.089  0.412  0.578
H  0.814  0.148  0.664
O  0.093  0.128  0.479
O  0.539  0.960  0.825
O  0.023  0.320  0.064